[1]
A relaxed structure of ThP4O12. Source: the Materials Project, functional PBE-GGA.

a b c (Å): 6.8766 14.8502 12.1500
angles (deg): 90.00 101.74 90.00
Fractional positions:
Th: 0.0410 0.1461 0.1879
Th: 0.0410 0.3539 0.6879
Th: 0.9590 0.6461 0.3121
Th: 0.9590 0.8539 0.8121
P: 0.0345 0.0992 0.6793
P: 0.0345 0.4008 0.1793
P: 0.1976 0.1908 0.4957
P: 0.1976 0.3092 0.9957
P: 0.3394 0.5062 0.5229
P: 0.3394 0.9938 0.0229
P: 0.4511 0.6365 0.2220
P: 0.4511 0.8635 0.7220
P: 0.5489 0.1365 0.2780
P: 0.5489 0.3635 0.7780
P: 0.6606 0.0062 0.9771
P: 0.6606 0.4938 0.4771
P: 0.8024 0.6908 0.0043
P: 0.8024 0.8092 0.5043
P: 0.9655 0.5992 0.8207
P: 0.9655 0.9008 0.3207
O: 0.0005 0.0124 0.7306
O: 0.0005 0.4876 0.2306
O: 0.0102 0.6868 0.7732
O: 0.0102 0.8132 0.2732
O: 0.0800 0.2319 0.0363
O: 0.0800 0.2681 0.5363
O: 0.0939 0.1587 0.3789
O: 0.0939 0.3413 0.8789
O: 0.1227 0.0973 0.5741
O: 0.1227 0.4027 0.0741
O: 0.1830 0.5681 0.4609
O: 0.1830 0.9319 0.9609
O: 0.2793 0.6620 0.2747
O: 0.2793 0.8380 0.7747
O: 0.2822 0.0489 0.1149
O: 0.2822 0.4511 0.6149
O: 0.3753 0.2001 0.2514
O: 0.3753 0.2999 0.7514
O: 0.4162 0.1929 0.5255
O: 0.4162 0.3071 0.0255
O: 0.4421 0.0542 0.9351
O: 0.4421 0.4458 0.4351
O: 0.4470 0.5560 0.1516
O: 0.4470 0.9440 0.6516
O: 0.5530 0.0560 0.3484
O: 0.5530 0.4440 0.8484
O: 0.5579 0.5542 0.5649
O: 0.5579 0.9458 0.0649
O: 0.5838 0.6929 0.9745
O: 0.5838 0.8071 0.4745
O: 0.6247 0.7001 0.2486
O: 0.6247 0.7999 0.7486
O: 0.7178 0.5489 0.3851
O: 0.7178 0.9511 0.8851
O: 0.7207 0.1620 0.2253
O: 0.7207 0.3380 0.7253
O: 0.8170 0.0681 0.0391
O: 0.8170 0.4319 0.5391
O: 0.8773 0.5973 0.9259
O: 0.8773 0.9027 0.4259
O: 0.9061 0.6587 0.1211
O: 0.9061 0.8413 0.6211
O: 0.9200 0.7319 0.4637
O: 0.9200 0.7681 0.9637
O: 0.9898 0.1868 0.7268
O: 0.9898 0.3132 0.2268
O: 0.9995 0.5124 0.7694
O: 0.9995 0.9876 0.2694

As for the volume: 1215 Å³ per cell. The calculation puts the offset from the most stable computed form at 24.1 kJ per mole of atoms. Its crystal system is monoclinic. The calculation puts the electronic total energy at -507.29 eV for the cell shown.



[2]
A relaxed structure of ThP4O12. Source: the Materials Project, functional PBE-GGA.

a b c (Å): 8.3480 8.9054 14.8285
angles (deg): 78.56 74.64 62.23
Fractional positions:
Th: 0.0928 0.1617 0.1101
Th: 0.3733 0.3274 0.3919
Th: 0.6267 0.6726 0.6081
Th: 0.9072 0.8383 0.8899
P: 0.1116 0.3531 0.6413
P: 0.1209 0.0787 0.3685
P: 0.2360 0.7461 0.4943
P: 0.2469 0.0141 0.7438
P: 0.2655 0.7232 0.0208
P: 0.3042 0.4687 0.7463
P: 0.3738 0.3774 0.1241
P: 0.3971 0.1347 0.8672
P: 0.6029 0.8653 0.1328
P: 0.6262 0.6226 0.8759
P: 0.6958 0.5313 0.2537
P: 0.7345 0.2768 0.9792
P: 0.7531 0.9859 0.2562
P: 0.7640 0.2539 0.5057
P: 0.8791 0.9213 0.6315
P: 0.8884 0.6469 0.3587
O: 0.0764 0.4987 0.3469
O: 0.0896 0.7949 0.5919
O: 0.0923 0.2022 0.7173
O: 0.1325 0.0703 0.2668
O: 0.1333 0.5937 0.8020
O: 0.1339 0.8990 0.4212
O: 0.1503 0.9278 0.8179
O: 0.1596 0.6797 0.9711
O: 0.1692 0.8870 0.0660
O: 0.2027 0.2888 0.5459
O: 0.2179 0.3568 0.1047
O: 0.2258 0.1810 0.9427
O: 0.2453 0.5890 0.4665
O: 0.2542 0.1247 0.3930
O: 0.2566 0.3888 0.6749
O: 0.3475 0.5712 0.0995
O: 0.3591 0.9272 0.6555
O: 0.3818 0.0541 0.7838
O: 0.4102 0.7446 0.5051
O: 0.4126 0.3043 0.8122
O: 0.4155 0.3238 0.2206
O: 0.4202 0.9810 0.1066
O: 0.4467 0.5260 0.6886
O: 0.4486 0.7251 0.9524
O: 0.5514 0.2749 0.0476
O: 0.5533 0.4740 0.3114
O: 0.5798 0.0190 0.8934
O: 0.5845 0.6762 0.7794
O: 0.5874 0.6957 0.1878
O: 0.5898 0.2554 0.4949
O: 0.6182 0.9459 0.2162
O: 0.6409 0.0728 0.3445
O: 0.6525 0.4288 0.9005
O: 0.7434 0.6112 0.3251
O: 0.7458 0.8753 0.6070
O: 0.7547 0.4110 0.5335
O: 0.7742 0.8190 0.0573
O: 0.7821 0.6432 0.8953
O: 0.7973 0.7112 0.4541
O: 0.8308 0.1130 0.9340
O: 0.8404 0.3203 0.0289
O: 0.8497 0.0722 0.1821
O: 0.8661 0.1010 0.5788
O: 0.8667 0.4063 0.1980
O: 0.8675 0.9297 0.7332
O: 0.9077 0.7978 0.2827
O: 0.9104 0.2051 0.4081
O: 0.9236 0.5013 0.6531

As for the volume: 937 Å³ per cell. The calculation puts the offset from the most stable computed form at 0.0 kJ per mole of atoms. Its crystal system is triclinic. The calculation puts the electronic total energy at -524.24 eV for the cell shown.



[3]
A relaxed structure of TiP2O8. Source: the Materials Project, functional PBE-GGA.

a b c (Å): 5.2170 6.3886 13.5711
angles (deg): 90.00 100.62 90.00
Fractional positions:
Ti: 0.1816 0.0000 0.3854
Ti: 0.8184 0.5000 0.6146
P: 0.2476 0.5007 0.4498
P: 0.3861 0.5430 0.7810
P: 0.6139 0.0430 0.2190
P: 0.7524 0.0007 0.5502
O: 0.0767 0.5020 0.5313
O: 0.0972 0.5058 0.7368
O: 0.1854 0.6967 0.3831
O: 0.1860 0.3049 0.3834
O: 0.4361 0.7654 0.8252
O: 0.4442 0.0009 0.2978
O: 0.4610 0.0003 0.5020
O: 0.4736 0.4150 0.8780
O: 0.5264 0.9150 0.1220
O: 0.5390 0.5003 0.4980
O: 0.5558 0.5009 0.7022
O: 0.5639 0.2654 0.1748
O: 0.8140 0.8049 0.6166
O: 0.8146 0.1967 0.6169
O: 0.9028 0.0058 0.2632
O: 0.9233 0.0020 0.4687

As for the volume: 445 Å³ per cell. Its crystal system is monoclinic. The calculation puts the electronic total energy at -161.41 eV for the cell shown.